Li4Ti4Mn5O18 | PBE with a Hubbard U | relaxed

The structure in extended XYZ format:
```
62
Lattice="9.127 0.000 0.000 0.000 26.238 0.000 0.000 0.000 2.911" Properties=species:S:1:pos:R:3 pbc="T T T"
Li 1.793 0.393 0.000
Li 1.859 21.418 0.000
Li 2.704 8.299 0.000
Li 2.770 13.512 0.000
Li 6.356 12.726 0.000
Li 6.423 17.939 0.000
Li 7.267 4.820 0.000
Li 7.334 25.845 0.000
Ti 0.045 2.663 0.000
Ti 1.349 5.042 1.455
Ti 3.214 18.161 1.455
Ti 4.519 15.782 0.000
Ti 4.608 10.457 0.000
Ti 5.912 8.077 1.455
Ti 7.778 21.196 1.455
Ti 9.082 23.576 0.000
Mn 0.000 13.119 0.000
Mn 0.098 18.124 0.000
Mn 1.395 10.877 1.455
Mn 3.168 23.996 1.455
Mn 4.466 5.005 0.000
Mn 4.563 0.000 0.000
Mn 4.661 21.234 0.000
Mn 5.959 2.242 1.455
Mn 7.731 15.361 1.455
Mn 9.029 8.115 0.000
O 0.124 11.175 0.000
O 0.449 22.166 1.455
O 0.547 1.521 1.455
O 0.906 6.206 0.000
O 1.079 8.739 1.455
O 1.303 13.131 1.455
O 1.303 18.599 1.455
O 1.674 3.710 0.000
O 1.858 24.038 0.000
O 2.706 10.919 0.000
O 2.889 16.830 0.000
O 3.260 0.012 1.455
O 3.260 5.480 1.455
O 3.485 21.858 1.455
O 3.657 19.325 0.000
O 4.017 14.640 1.455
O 4.115 9.046 1.455
O 4.439 24.294 0.000
O 4.687 1.944 0.000
O 5.012 17.192 1.455
O 5.110 11.598 1.455
O 5.470 6.913 0.000
O 5.642 4.380 1.455
O 5.867 26.226 1.455
O 5.867 20.758 1.455
O 6.238 9.409 0.000
O 6.421 15.319 0.000
O 7.269 2.200 0.000
O 7.452 22.528 0.000
O 7.824 7.639 1.455
O 7.824 13.107 1.455
O 8.048 17.500 1.455
O 8.221 20.032 0.000
O 8.580 24.717 1.455
O 8.678 4.073 1.455
O 9.003 15.063 0.000
```

18
Lattice="5.508 0.000 0.000 1.719 5.301 0.000 2.025 1.441 6.690" Properties=species:S:1:pos:R:3 comment="Co3O2F4 (PBE with a Hubbard U, relaxed)" polymorph_energy_ev_per_atom=0.047 pbc="T T T"
Co 0.000 0.000 0.000
Co 1.013 0.720 3.345
Co 2.560 1.936 1.066
Co 3.702 2.926 4.535
Co 5.549 3.816 2.155
Co 6.691 4.806 5.623
O 2.622 4.497 4.471
O 3.521 2.643 6.475
O 5.731 4.099 0.215
O 6.629 2.245 2.219
F 2.109 1.600 4.701
F 4.990 5.163 6.648
F 4.379 5.479 2.252
F 3.776 2.784 2.448
F 5.476 3.957 4.242
F 4.873 1.263 4.438
F 4.261 1.579 0.042
F 7.143 5.142 1.989

Cs2MoO8 | PBE with a Hubbard U | relaxed

The structure in extended XYZ format:
```
44
Lattice="7.304 0.000 0.000 0.000 9.245 0.000 -6.412 0.000 12.604" Properties=species:S:1:pos:R:3 pbc="T T T"
Cs -1.676 0.164 3.361
Cs -4.882 4.458 9.663
Cs 1.894 1.702 1.102
Cs -1.312 2.920 7.404
Cs 2.203 6.325 5.200
Cs -1.003 7.543 11.502
Cs 5.774 4.787 2.941
Cs 2.568 9.081 9.243
Mo 1.805 6.664 1.154
Mo -1.402 7.204 7.456
Mo 2.293 2.041 5.148
Mo -0.913 2.581 11.450
O -3.273 6.536 7.754
O -0.067 7.331 1.452
O -4.810 6.823 11.770
O -1.603 7.044 5.468
O 1.107 4.792 1.036
O -2.100 9.076 7.338
O -1.044 5.801 6.060
O -4.251 8.066 12.362
O -2.290 5.894 8.672
O 0.916 7.974 2.370
O 1.465 5.159 2.423
O -1.742 8.708 8.725
O -2.637 2.141 10.513
O 0.569 2.481 4.211
O 0.388 1.461 5.277
O -2.818 3.162 11.579
O 3.710 6.083 1.025
O 0.504 7.784 7.327
O 0.323 6.763 8.393
O 3.529 7.104 2.091
O 2.633 0.537 3.879
O -0.573 4.085 10.181
O -0.025 1.271 10.234
O 3.182 3.351 3.932
O 5.142 1.179 0.242
O 1.936 3.444 6.544
O 2.991 0.169 5.266
O -0.215 4.453 11.568
O 2.495 2.201 7.136
O 5.701 2.422 0.834
O 0.958 1.914 11.152
O 4.165 2.709 4.850
```

48
Lattice="5.135 0.000 0.000 0.000 6.909 0.000 -0.164 0.000 16.304" Properties=species:S:1:pos:R:3 comment="Li2MnP2O7 (PBE with a Hubbard U, relaxed)" polymorph_energy_ev_per_atom=0.029 pbc="T T T"
Li 1.196 1.414 0.118
Li 1.113 2.041 8.270
Li 1.279 3.665 3.943
Li 1.197 6.699 12.095
Li 3.773 0.210 4.209
Li 3.691 3.244 12.361
Li 3.857 4.868 8.034
Li 3.775 5.496 16.186
Mn 1.109 4.001 14.167
Mn 1.191 6.363 6.015
Mn 3.779 0.547 10.289
Mn 3.861 2.908 2.137
P 1.224 0.657 2.700
P 1.141 2.798 10.852
P 1.268 4.927 1.187
P 1.186 5.437 9.339
P 3.785 1.472 6.965
P 3.703 1.982 15.117
P 3.829 4.112 5.452
P 3.747 6.252 13.604
O 0.090 4.630 5.099
O 0.008 5.734 13.251
O 0.512 4.169 2.273
O 0.430 6.195 10.425
O 0.474 4.772 16.102
O 0.557 5.592 7.950
O 0.901 3.833 9.589
O 0.983 6.532 1.437
O 1.821 3.529 12.017
O 1.903 6.835 3.865
O 2.073 1.720 2.005
O 1.991 1.735 10.157
O 2.267 1.261 6.915
O 2.185 2.194 15.067
O 2.786 4.716 1.238
O 2.703 5.649 9.390
O 2.979 5.175 6.147
O 2.897 5.190 14.299
O 3.068 0.074 12.440
O 3.150 3.381 4.288
O 3.988 0.378 14.867
O 4.070 3.077 6.715
O 4.414 1.318 8.354
O 4.496 2.137 0.202
O 4.541 0.715 5.879
O 4.459 2.740 14.031
O 4.962 1.175 3.053
O 4.880 2.280 11.205

The records above give, respectively, energy relative to the elements values of -2606 -1832 -1048 -2642 meV/atom.
The records above give, respectively, total DFT energy (no corrections) values of -0.55522 -0.38573 -0.39593 -0.51248 Ry per atom.